# PBE+U CrPO10, optimized geometry
data_CrPO10
_chemical_formula_sum 'Cr8 P8 O80'
_symmetry_space_group_name_H-M 'C 1 2/c 1'
_symmetry_Int_Tables_number 15
_cell_length_a 9.235
_cell_length_b 7.802
_cell_length_c 24.126
_cell_angle_alpha 90.00
_cell_angle_beta 94.23
_cell_angle_gamma 90.00
loop_
_symmetry_equiv_pos_as_xyz
'x,y,z'
'-x,-y,-z'
'-x,y,-z+1/2'
'x,-y,z+1/2'
'x+1/2,y+1/2,z'
'-x+1/2,-y+1/2,-z'
'-x+1/2,y+1/2,-z+1/2'
'x+1/2,-y+1/2,z+1/2'
loop_
_atom_site_label
_atom_site_type_symbol
_atom_site_fract_x
_atom_site_fract_y
_atom_site_fract_z
Cr1 Cr 0.000 0.000 0.000
Cr2 Cr 0.000 0.191 0.250
P1 P 0.141 0.442 0.884
O1 O 0.011 0.446 0.840
O2 O 0.021 0.105 0.068
O3 O 0.044 0.241 0.733
O4 O 0.084 0.499 0.940
O5 O 0.085 0.175 0.540
O6 O 0.092 0.072 0.298
O7 O 0.129 0.307 0.223
O8 O 0.184 0.020 0.979
O9 O 0.211 0.264 0.891
O10 O 0.248 0.072 0.636
# Theoretical density (Mg/m³): 1.86
# Total magnetic moment (μB per formula unit): 7.65
# Relative energy among the computed polymorphs (meV/atom): 315
# Electronic total energy (eV per atom): -5.409
# Calculated formation energy (meV/atom): -331

# PBE+U Li4Mn3Fe2Sn3O16, optimized geometry
data_Li4Mn3Fe2Sn3O16
_chemical_formula_sum 'Li4 Mn3 Fe2 Sn3 O16'
_symmetry_space_group_name_H-M 'P 1'
_symmetry_Int_Tables_number 1
_cell_length_a 6.054
_cell_length_b 6.059
_cell_length_c 9.716
_cell_angle_alpha 88.86
_cell_angle_beta 89.58
_cell_angle_gamma 60.08
loop_
_symmetry_equiv_pos_as_xyz
'x,y,z'
loop_
_atom_site_label
_atom_site_type_symbol
_atom_site_fract_x
_atom_site_fract_y
_atom_site_fract_z
Li1 Li 0.000 0.000 0.000
Li2 Li 0.005 0.990 0.491
Li3 Li 0.352 0.292 0.599
Li4 Li 0.688 0.622 0.108
Mn1 Mn 0.185 0.138 0.278
Mn2 Mn 0.676 0.136 0.278
Mn3 Mn 0.846 0.305 0.775
Fe1 Fe 0.354 0.285 0.004
Fe2 Fe 0.685 0.629 0.494
Sn1 Sn 0.185 0.629 0.279
Sn2 Sn 0.354 0.795 0.779
Sn3 Sn 0.848 0.796 0.780
O1 O 0.005 0.990 0.185
O2 O 0.012 0.975 0.675
O3 O 0.055 0.433 0.159
O4 O 0.169 0.139 0.890
O5 O 0.175 0.649 0.904
O6 O 0.335 0.819 0.392
O7 O 0.359 0.278 0.386
O8 O 0.496 0.007 0.164
O9 O 0.512 0.431 0.158
O10 O 0.534 0.932 0.649
O11 O 0.545 0.473 0.655
O12 O 0.687 0.622 0.898
O13 O 0.691 0.139 0.890
O14 O 0.843 0.819 0.391
O15 O 0.854 0.295 0.383
O16 O 0.981 0.472 0.656
# Theoretical density (Mg/m³): 4.93
# Total magnetic moment (μB per formula unit): 21.00
# Relative energy among the computed polymorphs (meV/atom): 25
# Electronic total energy (eV per atom): -6.372
# Calculated formation energy (meV/atom): -1988

# PBE+U CaCoSi4O10, optimized geometry
data_CaCoSi4O10
_chemical_formula_sum 'Ca4 Co4 Si16 O40'
_symmetry_space_group_name_H-M 'P 4/n c c'
_symmetry_Int_Tables_number 130
_cell_length_a 7.447
_cell_length_b 7.447
_cell_length_c 15.402
_cell_angle_alpha 90.00
_cell_angle_beta 90.00
_cell_angle_gamma 90.00
loop_
_symmetry_equiv_pos_as_xyz
'x,y,z'
'-x,-y,-z'
'-y+1/2,x,z'
'y+1/2,-x,-z'
'-x+1/2,-y+1/2,z'
'x+1/2,y+1/2,-z'
'y,-x+1/2,z'
'-y,x+1/2,-z'
'x+1/2,-y,-z+1/2'
'-x+1/2,y,z+1/2'
'-y,-x,-z+1/2'
'y,x,z+1/2'
'-x,y+1/2,-z+1/2'
'x,-y+1/2,z+1/2'
'y+1/2,x+1/2,-z+1/2'
'-y+1/2,-x+1/2,z+1/2'
loop_
_atom_site_label
_atom_site_type_symbol
_atom_site_fract_x
_atom_site_fract_y
_atom_site_fract_z
Ca1 Ca 0.250 0.750 0.000
Co1 Co 0.250 0.250 0.083
Si1 Si 0.002 0.077 0.352
O1 O 0.000 0.205 0.872
O2 O 0.001 0.146 0.082
O3 O 0.041 0.541 0.250
# Theoretical density (Mg/m³): 2.89
# Total magnetic moment (μB per formula unit): 3.02
# Electronic total energy (eV per atom): -7.530
# Calculated formation energy (meV/atom): -3043

# PBE+U Li2V2F7, optimized geometry
data_Li2V2F7
_chemical_formula_sum 'Li8 V8 F28'
_symmetry_space_group_name_H-M 'P 1 21/c 1'
_symmetry_Int_Tables_number 14
_cell_length_a 7.672
_cell_length_b 7.214
_cell_length_c 10.367
_cell_angle_alpha 90.00
_cell_angle_beta 90.01
_cell_angle_gamma 90.00
loop_
_symmetry_equiv_pos_as_xyz
'x,y,z'
'-x,-y,-z'
'-x,y+1/2,-z+1/2'
'x,-y+1/2,z+1/2'
loop_
_atom_site_label
_atom_site_type_symbol
_atom_site_fract_x
_atom_site_fract_y
_atom_site_fract_z
Li1 Li 0.148 0.131 0.134
Li2 Li 0.317 0.151 0.359
V1 V 0.126 0.632 0.080
V2 V 0.394 0.631 0.406
F1 F 0.063 0.145 0.560
F2 F 0.075 0.176 0.305
F3 F 0.180 0.594 0.531
F4 F 0.273 0.600 0.235
F5 F 0.314 0.593 0.939
F6 F 0.382 0.166 0.186
F7 F 0.451 0.150 0.931
# Theoretical density (Mg/m³): 2.88
# Total magnetic moment (μB per formula unit): 5.00
# Relative energy among the computed polymorphs (meV/atom): 0
# Electronic total energy (eV per atom): -5.725
# Calculated formation energy (meV/atom): -3111

# PBE+U HfMg6MnO8, optimized geometry
data_HfMg6MnO8
_chemical_formula_sum 'Hf1 Mg6 Mn1 O8'
_symmetry_space_group_name_H-M 'P 4/m m m'
_symmetry_Int_Tables_number 123
_symmetry_space_group_name_Hall '-P 4 2'
_cell_length_a 4.340
_cell_length_b 4.340
_cell_length_c 8.879
_cell_angle_alpha 90.00
_cell_angle_beta 90.00
_cell_angle_gamma 90.00
loop_
_atom_site_label
_atom_site_type_symbol
_atom_site_fract_x
_atom_site_fract_y
_atom_site_fract_z
Hf1 Hf 0.000 0.000 0.000
Mg1 Mg 0.000 0.000 0.500
Mg2 Mg 0.000 0.500 0.261
Mg3 Mg 0.500 0.500 0.500
Mn1 Mn 0.500 0.500 0.000
O1 O 0.000 0.000 0.257
O2 O 0.000 0.500 0.000
O3 O 0.000 0.500 0.500
O4 O 0.500 0.500 0.264
# Theoretical density (Mg/m³): 5.04
# Total magnetic moment (μB per formula unit): 3.44
# Relative energy among the computed polymorphs (meV/atom): 0
# Electronic total energy (eV per atom): -6.552
# Calculated formation energy (meV/atom): -2731

# PBE+U Cs2Tm2MgW4O16, optimized geometry
data_Cs2Tm2MgW4O16
_chemical_formula_sum 'Cs2 Tm2 Mg1 W4 O16'
_symmetry_space_group_name_H-M 'P 1'
_symmetry_Int_Tables_number 1
_cell_length_a 6.950
_cell_length_b 7.621
_cell_length_c 8.247
_cell_angle_alpha 67.96
_cell_angle_beta 68.98
_cell_angle_gamma 67.29
loop_
_symmetry_equiv_pos_as_xyz
'x,y,z'
loop_
_atom_site_label
_atom_site_type_symbol
_atom_site_fract_x
_atom_site_fract_y
_atom_site_fract_z
Cs1 Cs 0.000 0.000 0.000
Cs2 Cs 0.433 0.204 0.310
Tm1 Tm 0.481 0.713 0.290
Tm2 Tm 0.956 0.484 0.023
Mg1 Mg 0.213 0.595 0.657
W1 W 0.520 0.125 0.828
W2 W 0.530 0.614 0.837
W3 W 0.903 0.575 0.478
W4 W 0.914 0.064 0.487
O1 O 0.200 0.898 0.474
O2 O 0.212 0.576 0.418
O3 O 0.227 0.315 0.838
O4 O 0.233 0.633 0.892
O5 O 0.465 0.889 0.790
O6 O 0.481 0.974 0.073
O7 O 0.566 0.630 0.574
O8 O 0.588 0.567 0.065
O9 O 0.596 0.327 0.881
O10 O 0.603 0.230 0.560
O11 O 0.836 0.883 0.433
O12 O 0.842 0.633 0.239
O13 O 0.845 0.961 0.747
O14 O 0.864 0.577 0.741
O15 O 0.951 0.225 0.243
O16 O 0.976 0.302 0.520
# Theoretical density (Mg/m³): 7.44
# Total magnetic moment (μB per formula unit): 2.00
# Relative energy among the computed polymorphs (meV/atom): 31
# Electronic total energy (eV per atom): -7.153
# Calculated formation energy (meV/atom): -2569

# PBE+U K3CrH3C6O12, optimized geometry
data_K3CrH3C6O12
_chemical_formula_sum 'K12 Cr4 H12 C24 O48'
_symmetry_space_group_name_H-M 'C 1 2/c 1'
_symmetry_Int_Tables_number 15
_cell_length_a 7.557
_cell_length_b 20.496
_cell_length_c 10.848
_cell_angle_alpha 90.00
_cell_angle_beta 105.73
_cell_angle_gamma 90.00
loop_
_symmetry_equiv_pos_as_xyz
'x,y,z'
'-x,-y,-z'
'-x,y,-z+1/2'
'x,-y,z+1/2'
'x+1/2,y+1/2,z'
'-x+1/2,-y+1/2,-z'
'-x+1/2,y+1/2,-z+1/2'
'x+1/2,-y+1/2,z+1/2'
loop_
_atom_site_label
_atom_site_type_symbol
_atom_site_fract_x
_atom_site_fract_y
_atom_site_fract_z
K1 K 0.000 0.171 0.250
K2 K 0.213 0.161 0.666
Cr1 Cr 0.000 0.380 0.750
H1 H 0.000 0.240 0.750
H2 H 0.197 0.061 0.472
C1 C 0.003 0.307 0.974
C2 C 0.068 0.489 0.207
C3 C 0.200 0.335 0.994
O1 O 0.037 0.275 0.439
O2 O 0.108 0.318 0.639
O3 O 0.113 0.453 0.676
O4 O 0.124 0.436 0.175
O5 O 0.178 0.177 0.906
O6 O 0.224 0.369 0.899
# Theoretical density (Mg/m³): 1.79
# Total magnetic moment (μB per formula unit): 6.00
# Electronic total energy (eV per atom): -6.438
# Calculated formation energy (meV/atom): -1331

# PBE+U Li9Mn2Co5O16, optimized geometry
data_Li9Mn2Co5O16
_chemical_formula_sum 'Li9 Mn2 Co5 O16'
_symmetry_space_group_name_H-M 'P 1 2/m 1'
_symmetry_Int_Tables_number 10
_cell_length_a 5.201
_cell_length_b 2.873
_cell_length_c 19.295
_cell_angle_alpha 90.00
_cell_angle_beta 96.94
_cell_angle_gamma 90.00
loop_
_symmetry_equiv_pos_as_xyz
'x,y,z'
'-x,-y,-z'
'-x,y,-z'
'x,-y,z'
loop_
_atom_site_label
_atom_site_type_symbol
_atom_site_fract_x
_atom_site_fract_y
_atom_site_fract_z
Li1 Li 0.000 0.000 0.000
Li2 Li 0.120 0.500 0.880
Li3 Li 0.129 0.000 0.377
Li4 Li 0.379 0.500 0.625
Li5 Li 0.383 0.000 0.118
Mn1 Mn 0.251 0.500 0.249
Co1 Co 0.000 0.500 0.500
Co2 Co 0.247 0.000 0.750
Co3 Co 0.500 0.000 0.500
Co4 Co 0.500 0.500 0.000
O1 O 0.084 0.000 0.190
O2 O 0.086 0.500 0.693
O3 O 0.173 0.000 0.555
O4 O 0.239 0.500 0.053
O5 O 0.325 0.500 0.440
O6 O 0.327 0.000 0.943
O7 O 0.408 0.500 0.806
O8 O 0.417 0.000 0.308
# Theoretical density (Mg/m³): 4.20
# Total magnetic moment (μB per formula unit): 14.55
# Relative energy among the computed polymorphs (meV/atom): 88
# Electronic total energy (eV per atom): -5.766
# Calculated formation energy (meV/atom): -1776